Cs4BaP6O18: optimized geometry, PBE-GGA.

Cell: 11.7461 11.7461 9.2649 Å, 90.00 90.00 120.00°
Last column: nearest neighbours and their distance in Å.
Element x y z (fractional)
Cs: 0.0076 0.2369 0.0000  7 O 3.05-3.34
Cs: 0.2293 0.9924 0.0000  7 O 3.05-3.34
Cs: 0.2369 0.0076 0.5000  7 O 3.05-3.34
Cs: 0.3333 0.6667 0.2407  9 O 3.25-3.52
Cs: 0.6667 0.3333 0.7407  9 O 3.25-3.52
Cs: 0.7631 0.7707 0.0000  7 O 3.05-3.34
Cs: 0.7707 0.7631 0.5000  7 O 3.05-3.34
Cs: 0.9924 0.2293 0.5000  7 O 3.05-3.34
Ba: 0.3333 0.6667 0.7502  9 O 2.84-2.95
Ba: 0.6667 0.3333 0.2502  9 O 2.84-2.95
P: 0.0034 0.5484 0.4852  4 O 1.50-1.64
P: 0.0231 0.7143 0.7371  4 O 1.50-1.64
P: 0.2857 0.3088 0.7371  4 O 1.50-1.64
P: 0.3088 0.2857 0.2371  4 O 1.50-1.64
P: 0.4516 0.4550 0.4852  4 O 1.50-1.64
P: 0.4550 0.4516 0.9852  4 O 1.50-1.64
P: 0.5450 0.9966 0.4852  4 O 1.50-1.64
P: 0.5484 0.0034 0.9852  4 O 1.50-1.64
P: 0.6912 0.9769 0.7371  4 O 1.50-1.64
P: 0.7143 0.0231 0.2371  4 O 1.50-1.64
P: 0.9769 0.6912 0.2371  4 O 1.50-1.64
P: 0.9966 0.5450 0.9852  4 O 1.50-1.64
O: 0.0229 0.6758 0.0756  2 P 1.63-1.64
O: 0.0463 0.8360 0.2654  1 P 1.50
O: 0.0475 0.6244 0.3300  2 P 1.63-1.64
O: 0.1218 0.5450 0.5400  1 P 1.50
O: 0.1259 0.5489 0.9716  1 P 1.50
O: 0.1640 0.2102 0.2654  1 P 1.50
O: 0.1696 0.7806 0.7528  1 P 1.50
O: 0.2102 0.1640 0.7654  1 P 1.50
O: 0.2194 0.3890 0.7528  1 P 1.50
O: 0.3242 0.3471 0.0756  2 P 1.63-1.64
O: 0.3471 0.3242 0.5756  2 P 1.63-1.64
O: 0.3756 0.4231 0.3300  2 P 1.63-1.64
O: 0.3890 0.2194 0.2528  1 P 1.50
O: 0.4231 0.3756 0.8300  2 P 1.63-1.64
O: 0.4230 0.8741 0.9716  1 P 1.50
O: 0.4232 0.8782 0.5400  1 P 1.50
O: 0.4511 0.5770 0.9716  1 P 1.50
O: 0.4550 0.5768 0.5400  1 P 1.50
O: 0.5450 0.1218 0.0400  1 P 1.50
O: 0.5489 0.1259 0.4716  1 P 1.50
O: 0.5770 0.4511 0.4716  1 P 1.50
O: 0.5768 0.4550 0.0400  1 P 1.50
O: 0.5769 0.9525 0.3300  2 P 1.63-1.64
O: 0.6110 0.8304 0.7528  1 P 1.50
O: 0.6244 0.0475 0.8300  2 P 1.63-1.64
O: 0.6529 0.9771 0.0756  2 P 1.63-1.64
O: 0.6758 0.0229 0.5756  2 P 1.63-1.64
O: 0.7806 0.1696 0.2528  1 P 1.50
O: 0.7898 0.9537 0.2654  1 P 1.50
O: 0.8304 0.6110 0.2528  1 P 1.50
O: 0.8360 0.0463 0.7654  1 P 1.50
O: 0.8741 0.4230 0.4716  1 P 1.50
O: 0.8782 0.4232 0.0400  1 P 1.50
O: 0.9525 0.5769 0.8300  2 P 1.63-1.64
O: 0.9537 0.7898 0.7654  1 P 1.50
O: 0.9771 0.6529 0.5756  2 P 1.63-1.64

Properties
Its space-group type is P31c (159). The formation energy from the elements comes out at -2.78 eV per atom. As for the total magnetic moment: 0.00 μB per formula unit.